This record from Materials Project describes a relaxed structure of Li12Mn3NiP4C4O28. The functional is GGA+U.

Cell and atoms, written as POSCAR:
```
Li12Mn3NiP4C4O28
1.0
6.582 0.000 0.000
0.000 8.515 0.000
0.000 0.782 9.960
O Mn C Li P Ni
28 3 4 12 4 1
direct
0.816 0.691 0.584
0.500 0.929 0.026
0.684 0.309 0.915
0.000 0.154 0.257
0.000 0.575 0.793
0.500 0.856 0.746
0.000 0.421 0.589
0.500 0.113 0.178
0.314 0.311 0.414
0.184 0.691 0.584
0.500 0.930 0.526
0.183 0.689 0.089
0.000 0.886 0.822
0.000 0.144 0.754
0.500 0.423 0.703
0.500 0.113 0.678
0.000 0.420 0.091
0.000 0.566 0.299
0.500 0.580 0.905
0.000 0.893 0.322
0.817 0.689 0.089
0.000 0.069 0.974
0.686 0.311 0.414
0.500 0.856 0.246
0.316 0.309 0.915
0.500 0.423 0.203
0.500 0.580 0.405
0.000 0.077 0.475
0.500 0.660 0.611
0.000 0.340 0.889
0.500 0.660 0.112
0.000 0.039 0.352
0.000 0.033 0.852
0.500 0.967 0.149
0.500 0.967 0.649
0.725 0.273 0.622
0.000 0.904 0.119
0.776 0.727 0.877
0.500 0.093 0.880
0.500 0.093 0.380
0.224 0.726 0.376
0.776 0.726 0.376
0.275 0.273 0.622
0.224 0.727 0.877
0.000 0.908 0.619
0.275 0.274 0.125
0.725 0.274 0.125
0.500 0.410 0.360
0.000 0.586 0.142
0.000 0.590 0.636
0.500 0.409 0.861
0.000 0.333 0.397
```

The value obtained for the formation energy is -2.381 eV per atom. As for the space group: No. 6.